1.
DFT (PBE with a Hubbard U) results for a relaxed structure of Li2CrP4O12.

Cell and atoms, written as POSCAR:
```
Li2CrP4O12
1.0
12.903 0.000 0.000
0.000 8.142 0.000
0.000 6.096 10.119
P O Li Cr
16 48 8 4
direct
0.421 0.550 0.614 P
0.570 0.081 0.637 P
0.321 0.606 0.815 P
0.579 0.450 0.386 P
0.079 0.550 0.114 P
0.930 0.081 0.137 P
0.179 0.606 0.315 P
0.171 0.906 0.648 P
0.329 0.906 0.148 P
0.430 0.919 0.363 P
0.921 0.450 0.886 P
0.821 0.394 0.685 P
0.671 0.094 0.852 P
0.829 0.094 0.352 P
0.679 0.394 0.185 P
0.070 0.919 0.863 P
0.214 0.104 0.559 O
0.537 0.549 0.634 O
0.714 0.896 0.941 O
0.098 0.587 0.412 O
0.651 0.944 0.642 O
0.349 0.056 0.358 O
0.366 0.364 0.659 O
0.151 0.056 0.858 O
0.634 0.636 0.341 O
0.541 0.944 0.388 O
0.571 0.079 0.775 O
0.107 0.700 0.962 O
0.463 0.451 0.366 O
0.598 0.413 0.088 O
0.127 0.668 0.176 O
0.929 0.079 0.275 O
0.893 0.300 0.038 O
0.860 0.201 0.419 O
0.360 0.799 0.081 O
0.607 0.300 0.538 O
0.071 0.921 0.725 O
0.750 0.557 0.153 O
0.393 0.700 0.462 O
0.373 0.668 0.676 O
0.037 0.451 0.866 O
0.873 0.332 0.824 O
0.140 0.799 0.581 O
0.786 0.896 0.441 O
0.902 0.413 0.588 O
0.640 0.201 0.919 O
0.250 0.443 0.847 O
0.246 0.799 0.268 O
0.250 0.443 0.347 O
0.963 0.549 0.134 O
0.134 0.364 0.159 O
0.429 0.921 0.225 O
0.866 0.636 0.841 O
0.254 0.799 0.768 O
0.459 0.056 0.612 O
0.402 0.587 0.912 O
0.746 0.201 0.232 O
0.750 0.557 0.653 O
0.754 0.201 0.732 O
0.849 0.944 0.142 O
0.041 0.056 0.112 O
0.286 0.104 0.059 O
0.627 0.332 0.324 O
0.959 0.944 0.888 O
0.300 0.097 0.839 Li
0.200 0.097 0.339 Li
0.423 0.590 0.072 Li
0.700 0.903 0.161 Li
0.923 0.410 0.428 Li
0.077 0.590 0.572 Li
0.800 0.903 0.661 Li
0.577 0.410 0.928 Li
0.851 0.746 0.017 Cr
0.351 0.254 0.483 Cr
0.649 0.746 0.517 Cr
0.149 0.254 0.983 Cr
```

Results
The crystal system is monoclinic. As for the magnetization: 15.998 μB per cell. The value obtained for the formation energy is -48.7 eV per formula unit. The space group is No. 14.

=====

2.
DFT (PBE with a Hubbard U) results for a relaxed structure of FeAs2S4O8F12.

Cell and atoms, written as POSCAR:
```
FeAs2S4O8F12
1.0
-1.703 13.980 -0.063
-8.003 -0.992 -3.832
-8.727 -1.006 12.722
As F O S Fe
8 48 32 16 4
direct
0.112 0.090 0.632 As
0.612 0.910 0.868 As
0.354 0.466 0.392 As
0.146 0.466 0.892 As
0.646 0.534 0.608 As
0.888 0.910 0.368 As
0.854 0.534 0.108 As
0.388 0.090 0.132 As
0.704 0.653 0.683 F
0.740 0.493 0.073 F
0.359 0.301 0.472 F
0.153 0.621 0.806 F
0.291 0.216 0.155 F
0.592 0.423 0.538 F
0.204 0.347 0.817 F
0.141 0.137 0.519 F
0.641 0.863 0.981 F
0.305 0.940 0.142 F
0.859 0.699 0.028 F
0.411 0.052 0.246 F
0.709 0.784 0.845 F
0.981 0.028 0.391 F
0.260 0.507 0.927 F
0.805 0.060 0.358 F
0.359 0.137 0.019 F
0.796 0.653 0.183 F
0.089 0.052 0.746 F
0.092 0.577 0.962 F
0.464 0.249 0.121 F
0.589 0.948 0.754 F
0.641 0.699 0.528 F
0.019 0.972 0.609 F
0.481 0.972 0.109 F
0.296 0.347 0.317 F
0.195 0.940 0.642 F
0.791 0.784 0.345 F
0.964 0.751 0.379 F
0.536 0.584 0.650 F
0.141 0.301 0.972 F
0.859 0.863 0.481 F
0.964 0.584 0.150 F
0.036 0.416 0.850 F
0.209 0.216 0.655 F
0.695 0.060 0.858 F
0.847 0.379 0.194 F
0.519 0.028 0.891 F
0.908 0.423 0.038 F
0.760 0.493 0.573 F
0.347 0.621 0.306 F
0.036 0.249 0.621 F
0.911 0.948 0.254 F
0.464 0.416 0.350 F
0.240 0.507 0.427 F
0.408 0.577 0.462 F
0.653 0.379 0.694 F
0.536 0.751 0.879 F
0.422 0.209 0.666 O
0.688 0.946 0.178 O
0.078 0.346 0.325 O
0.188 0.054 0.322 O
0.209 0.906 0.934 O
0.291 0.906 0.434 O
0.642 0.290 0.263 O
0.578 0.791 0.334 O
0.791 0.094 0.066 O
0.312 0.054 0.822 O
0.812 0.946 0.678 O
0.434 0.984 0.591 O
0.566 0.016 0.409 O
0.934 0.016 0.909 O
0.071 0.623 0.595 O
0.922 0.654 0.675 O
0.142 0.710 0.237 O
0.810 0.504 0.838 O
0.690 0.504 0.338 O
0.929 0.377 0.405 O
0.066 0.984 0.091 O
0.571 0.377 0.905 O
0.709 0.094 0.566 O
0.429 0.623 0.095 O
0.358 0.710 0.737 O
0.858 0.290 0.763 O
0.578 0.654 0.175 O
0.190 0.496 0.162 O
0.922 0.791 0.834 O
0.310 0.496 0.662 O
0.422 0.346 0.825 O
0.078 0.209 0.166 O
0.828 0.341 0.843 S
0.201 0.921 0.390 S
0.971 0.593 0.604 S
0.471 0.407 0.896 S
0.172 0.659 0.157 S
0.701 0.079 0.110 S
0.529 0.593 0.104 S
0.328 0.659 0.657 S
0.525 0.875 0.393 S
0.799 0.079 0.610 S
0.025 0.125 0.107 S
0.475 0.125 0.607 S
0.672 0.341 0.343 S
0.029 0.407 0.396 S
0.299 0.921 0.890 S
0.975 0.875 0.893 S
0.311 0.275 0.744 Fe
0.689 0.725 0.256 Fe
0.189 0.275 0.244 Fe
0.811 0.725 0.756 Fe
```

Results
The crystal system is monoclinic. As for the magnetization: 0.002 μB per cell. The value obtained for the formation energy is -54.0 eV per formula unit. The space group is No. 14.

=====

3.
DFT (PBE with a Hubbard U) results for a relaxed structure of FeH4N2F5.

Cell and atoms, written as POSCAR:
```
FeH4N2F5
1.0
-3.915 4.767 1.535
-5.936 -4.841 -0.103
1.597 -2.190 10.872
F H Fe N
20 16 4 8
direct
0.409 0.250 0.480 F
0.736 0.550 0.937 F
0.264 0.450 0.063 F
0.900 0.946 0.149 F
0.400 0.946 0.351 F
0.264 0.050 0.063 F
0.600 0.054 0.649 F
0.236 0.950 0.563 F
0.091 0.750 0.980 F
0.591 0.750 0.520 F
0.600 0.446 0.649 F
0.100 0.446 0.851 F
0.400 0.554 0.351 F
0.100 0.054 0.851 F
0.236 0.550 0.563 F
0.764 0.450 0.437 F
0.900 0.554 0.149 F
0.736 0.950 0.937 F
0.764 0.050 0.437 F
0.909 0.250 0.020 F
0.589 0.139 0.896 H
0.089 0.361 0.604 H
0.995 0.750 0.275 H
0.360 0.250 0.901 H
0.589 0.361 0.896 H
0.860 0.250 0.599 H
0.911 0.639 0.396 H
0.495 0.750 0.225 H
0.640 0.750 0.099 H
0.505 0.250 0.775 H
0.140 0.750 0.401 H
0.411 0.861 0.104 H
0.089 0.139 0.604 H
0.411 0.639 0.104 H
0.005 0.250 0.725 H
0.911 0.861 0.396 H
0.500 0.000 0.500 Fe
0.000 0.000 0.000 Fe
0.500 0.500 0.500 Fe
0.000 0.500 0.000 Fe
0.490 0.750 0.133 N
0.525 0.250 0.177 N
0.975 0.750 0.677 N
0.025 0.250 0.323 N
0.990 0.750 0.367 N
0.010 0.250 0.633 N
0.510 0.250 0.867 N
0.475 0.750 0.823 N
```

Results
The crystal system is orthorhombic. As for the magnetization: 28.001 μB per cell. The value obtained for the formation energy is -12.0 eV per formula unit. The space group is No. 62.

=====

4.
DFT (PBE with a Hubbard U) results for a relaxed structure of Li3Fe8B8O24.

Cell and atoms, written as POSCAR:
```
Li3Fe8B8O24
1.0
5.249 0.000 0.000
0.094 9.156 0.000
0.009 0.120 10.103
O Fe B Li
24 8 8 3
direct
0.722 0.360 0.418 O
0.584 0.649 0.889 O
0.278 0.368 0.603 O
0.313 0.940 0.076 O
0.169 0.557 0.929 O
0.092 0.483 0.331 O
0.411 0.002 0.671 O
0.912 0.501 0.681 O
0.910 0.831 0.133 O
0.774 0.133 0.582 O
0.693 0.610 0.348 O
0.583 0.010 0.340 O
0.817 0.880 0.637 O
0.081 0.141 0.851 O
0.235 0.874 0.434 O
0.300 0.697 0.165 O
0.221 0.795 0.828 O
0.716 0.302 0.844 O
0.815 0.459 0.084 O
0.192 0.132 0.391 O
0.418 0.350 0.144 O
0.672 0.057 0.923 O
0.807 0.215 0.179 O
0.263 0.630 0.587 O
0.172 0.499 0.130 Fe
0.828 0.501 0.873 Fe
0.336 0.664 0.381 Fe
0.684 0.005 0.129 Fe
0.165 0.832 0.627 Fe
0.330 0.992 0.885 Fe
0.831 0.159 0.375 Fe
0.652 0.345 0.630 Fe
0.670 0.002 0.630 B
0.827 0.167 0.874 B
0.335 0.005 0.388 B
0.166 0.825 0.124 B
0.329 0.667 0.880 B
0.833 0.488 0.366 B
0.676 0.339 0.134 B
0.154 0.499 0.626 B
0.153 0.173 0.654 Li
0.330 0.332 0.393 Li
0.682 0.674 0.156 Li
```

Results
The crystal system is triclinic. As for the magnetization: 37.000 μB per cell. The value obtained for the formation energy is -96.7 eV per formula unit. The space group is No. 1.

=====

5.
DFT (PBE with a Hubbard U) results for a relaxed structure of Li2NiW2O8.

Cell and atoms, written as POSCAR:
```
Li2NiW2O8
1.0
-2.539 4.759 -1.808
-5.006 0.083 6.016
2.497 4.797 3.977
O W Li Ni
16 4 4 2
direct
0.474 0.210 0.247 O
0.219 0.056 0.020 O
0.905 0.342 0.850 O
0.281 0.444 0.480 O
0.526 0.790 0.753 O
0.405 0.842 0.350 O
0.612 0.560 0.110 O
0.888 0.940 0.390 O
0.595 0.158 0.650 O
0.719 0.556 0.520 O
0.388 0.440 0.890 O
0.026 0.290 0.253 O
0.781 0.944 0.980 O
0.112 0.060 0.610 O
0.974 0.710 0.747 O
0.095 0.658 0.150 O
0.729 0.539 0.797 W
0.229 0.039 0.297 W
0.271 0.461 0.203 W
0.771 0.961 0.703 W
0.684 0.355 0.393 Li
0.816 0.145 0.107 Li
0.184 0.855 0.893 Li
0.316 0.645 0.607 Li
0.250 0.250 0.750 Ni
0.750 0.750 0.250 Ni
```

Results
As for the magnetization: 0.000 μB per cell. The value obtained for the formation energy is -27.8 eV per formula unit.

=====

6.
DFT (PBE with a Hubbard U) results for a relaxed structure of LiMnP2HO7.

Cell and atoms, written as POSCAR:
```
LiMnP2HO7
1.0
-0.644 3.277 -5.301
-4.566 -4.664 0.425
-3.434 4.456 4.169
O P H Mn Li
14 4 2 2 2
direct
0.440 0.837 0.843 O
0.919 0.178 0.386 O
0.119 0.887 0.171 O
0.881 0.113 0.829 O
0.081 0.822 0.614 O
0.233 0.400 0.061 O
0.560 0.163 0.157 O
0.710 0.786 0.252 O
0.767 0.600 0.939 O
0.086 0.483 0.736 O
0.914 0.517 0.264 O
0.290 0.214 0.748 O
0.622 0.347 0.492 O
0.378 0.653 0.508 O
0.880 0.706 0.145 P
0.120 0.294 0.855 P
0.254 0.708 0.670 P
0.746 0.292 0.330 P
0.200 0.049 0.681 H
0.800 0.951 0.319 H
0.729 0.759 0.691 Mn
0.271 0.241 0.309 Mn
0.399 0.797 0.124 Li
0.601 0.203 0.876 Li
```

Results
The crystal system is triclinic. As for the magnetization: 1.999 μB per cell. The value obtained for the formation energy is -26.3 eV per formula unit. The space group is No. 2.

=====

- magnetization of number 6 (LiMnP2HO7)?
  1.999 μB per cell